## Cs2RbTlF6 (PBE-GGA)

Data for an optimized crystal structure of Cs2RbTlF6.

crystal system: cubic
formation enthalpy at 0 K: -27.060 eV per formula unit
total magnetic moment: 0.000 μB per atom

Cell lengths 6.9170, 6.9170, 6.9170 Å; angles 60.00, 60.00, 60.00 degrees
Atoms (fractional coordinates):
1 Cs 0.2500 0.2500 0.2500
2 Cs 0.7500 0.7500 0.7500
3 Rb 0.0000 0.0000 0.0000
4 Tl 0.5000 0.5000 0.5000
5 F 0.2746 0.2746 0.7254
6 F 0.2746 0.7254 0.2746
7 F 0.2746 0.7254 0.7254
8 F 0.7254 0.2746 0.2746
9 F 0.7254 0.2746 0.7254
10 F 0.7254 0.7254 0.2746